Record 1
An optimized crystal structure of TlBrO4, computed with PBE.

Cell lengths 9.3925, 6.2720, 7.8939 Å; angles 90.00, 90.00, 90.00 degrees
Positions (direct):
1 Tl 0.1758 0.2500 0.1669
2 Tl 0.3242 0.7500 0.6669
3 Tl 0.6758 0.2500 0.3331
4 Tl 0.8242 0.7500 0.8331
5 Br 0.0745 0.2500 0.6852
6 Br 0.4255 0.7500 0.1852
7 Br 0.5745 0.2500 0.8148
8 Br 0.9255 0.7500 0.3148
9 O 0.0756 0.7500 0.4226
10 O 0.0823 0.0355 0.8083
11 O 0.0823 0.4645 0.8083
12 O 0.2129 0.2500 0.5561
13 O 0.2871 0.7500 0.0561
14 O 0.4177 0.5355 0.3083
15 O 0.4177 0.9645 0.3083
16 O 0.4244 0.2500 0.9226
17 O 0.5756 0.7500 0.0774
18 O 0.5823 0.0355 0.6917
19 O 0.5823 0.4645 0.6917
20 O 0.7129 0.2500 0.9439
21 O 0.7871 0.7500 0.4439
22 O 0.9177 0.5355 0.1917
23 O 0.9177 0.9645 0.1917
24 O 0.9244 0.2500 0.5774

Calculated values
- Energy relative to the elements: -0.49 eV/atom
- V: 116.3 Å³/f.u.
- Raw total energy: -23.99 eV per formula unit
- Corrected total energy (MP2020 scheme): -4.46 eV per atom

---

Record 2
An optimized crystal structure of UBr4O9, computed with PBE.

Cell lengths 6.3853, 7.1546, 14.8538 Å; angles 77.77, 80.02, 70.53 degrees
Positions (direct):
1 U 0.2188 0.1166 0.1744
2 U 0.7812 0.8834 0.8256
3 Br 0.1107 0.6457 0.2763
4 Br 0.2528 0.7800 0.9440
5 Br 0.3345 0.1620 0.4368
6 Br 0.3427 0.3581 0.8182
7 Br 0.6573 0.6419 0.1818
8 Br 0.6655 0.8380 0.5632
9 Br 0.7472 0.2200 0.0560
10 Br 0.8893 0.3543 0.7237
11 O 0.0720 0.9033 0.2802
12 O 0.1443 0.6897 0.8619
13 O 0.1966 0.2652 0.2661
14 O 0.2221 0.9898 0.0776
15 O 0.2319 0.6563 0.5700
16 O 0.2525 0.6750 0.4848
17 O 0.3690 0.1469 0.5509
18 O 0.4592 0.2954 0.0815
19 O 0.4773 0.1109 0.7847
20 O 0.5227 0.8891 0.2153
21 O 0.5408 0.7046 0.9185
22 O 0.6310 0.8531 0.4491
23 O 0.7475 0.3250 0.5152
24 O 0.7681 0.3437 0.4300
25 O 0.7779 0.0102 0.9224
26 O 0.8034 0.7348 0.7339
27 O 0.8557 0.3103 0.1381
28 O 0.9280 0.0967 0.7198

Calculated values
- Energy relative to the elements: -0.79 eV/atom
- V: 310.7 Å³/f.u.
- Raw total energy: -71.91 eV per formula unit
- Corrected total energy (MP2020 scheme): -5.24 eV per atom

---

Record 3
An optimized crystal structure of U2Br2O, computed with PBE.

Cell lengths 3.5146, 3.5146, 13.0298 Å; angles 90.00, 90.00, 90.00 degrees
Positions (direct):
1 U 0.0000 0.0000 0.1579
2 U 0.0000 0.0000 0.8421
3 Br 0.0000 0.0000 0.3604
4 Br 0.0000 0.0000 0.6396
5 O 0.0000 0.0000 0.0000

Calculated values
- Energy relative to the elements: -0.85 eV/atom
- V: 161.0 Å³/f.u.
- Raw total energy: -34.38 eV per formula unit
- Corrected total energy (MP2020 scheme): -7.01 eV per atom

---

Record 4
An optimized crystal structure of UBr4O9, computed with PBE.

Cell lengths 6.4423, 7.2375, 13.9538 Å; angles 83.04, 89.29, 69.41 degrees
Positions (direct):
1 U 0.1644 0.2910 0.3062
2 U 0.8356 0.7090 0.6938
3 Br 0.1481 0.7994 0.9680
4 Br 0.2743 0.8227 0.4761
5 Br 0.2804 0.1689 0.6919
6 Br 0.4310 0.5443 0.7703
7 Br 0.5690 0.4557 0.2297
8 Br 0.7196 0.8311 0.3081
9 Br 0.7257 0.1773 0.5239
10 Br 0.8519 0.2006 0.0320
11 O 0.0379 0.4056 0.6623
12 O 0.0849 0.3667 0.1780
13 O 0.1157 0.9878 0.3787
14 O 0.1514 0.8948 0.0754
15 O 0.2083 0.7001 0.6894
16 O 0.2915 0.2288 0.9381
17 O 0.3057 0.2642 0.4224
18 O 0.3594 0.2466 0.0173
19 O 0.4570 0.0430 0.2694
20 O 0.5430 0.9570 0.7306
21 O 0.6406 0.7534 0.9827
22 O 0.6943 0.7358 0.5776
23 O 0.7085 0.7712 0.0619
24 O 0.7917 0.2999 0.3106
25 O 0.8486 0.1052 0.9246
26 O 0.8843 0.0122 0.6213
27 O 0.9151 0.6333 0.8220
28 O 0.9621 0.5944 0.3377

Calculated values
- Energy relative to the elements: -0.68 eV/atom
- V: 302.1 Å³/f.u.
- Raw total energy: -70.40 eV per formula unit
- Corrected total energy (MP2020 scheme): -5.13 eV per atom

---

Record 5
An optimized crystal structure of UBrO2, computed with PBE.

Cell lengths 10.8256, 10.8256, 4.0100 Å; angles 90.00, 90.00, 157.91 degrees
Positions (direct):
1 U 0.0744 0.9256 0.7500
2 U 0.9256 0.0744 0.2500
3 Br 0.1772 0.8228 0.2500
4 Br 0.8228 0.1772 0.7500
5 O 0.0345 0.9655 0.2500
6 O 0.4237 0.5763 0.2500
7 O 0.5763 0.4237 0.7500
8 O 0.9655 0.0345 0.7500

Calculated values
- Energy relative to the elements: -3.04 eV/atom
- V: 88.4 Å³/f.u.
- Raw total energy: -33.59 eV per formula unit
- Corrected total energy (MP2020 scheme): -8.74 eV per atom

---

Record 6
An optimized crystal structure of YBr3O18, computed with PBE.

Cell lengths 12.5391, 6.3505, 12.7787 Å; angles 90.00, 114.18, 90.00 degrees
Positions (direct):
1 Y 0.1468 0.0000 0.0529
2 Y 0.8532 0.5000 0.9471
3 Br 0.1563 0.1938 0.3425
4 Br 0.1638 0.2503 0.7942
5 Br 0.2941 0.8289 0.6430
6 Br 0.7059 0.3289 0.3570
7 Br 0.8362 0.7503 0.2058
8 Br 0.8437 0.6938 0.6575
9 O 0.0442 0.6818 0.0083
10 O 0.0809 0.4141 0.3232
11 O 0.0874 0.4636 0.7350
12 O 0.1346 0.2169 0.9202
13 O 0.1527 0.6184 0.0702
14 O 0.1629 0.1519 0.2057
15 O 0.1786 0.9909 0.5979
16 O 0.2479 0.7885 0.9434
17 O 0.2710 0.7317 0.3110
18 O 0.2939 0.2436 0.4278
19 O 0.3040 0.3079 0.8490
20 O 0.3531 0.8373 0.0147
21 O 0.3566 0.9593 0.1004
22 O 0.3606 0.6246 0.3462
23 O 0.3668 0.8580 0.5598
24 O 0.3792 0.8717 0.7803
25 O 0.4130 0.3775 0.6732
26 O 0.4943 0.4495 0.6553
27 O 0.5057 0.9495 0.3447
28 O 0.5870 0.8775 0.3268
29 O 0.6208 0.3717 0.2197
30 O 0.6332 0.3580 0.4402
31 O 0.6394 0.1246 0.6538
32 O 0.6434 0.4593 0.8996
33 O 0.6469 0.3373 0.9853
34 O 0.6960 0.8079 0.1510
35 O 0.7061 0.7436 0.5722
36 O 0.7290 0.2317 0.6890
37 O 0.7521 0.2885 0.0566
38 O 0.8214 0.4909 0.4021
39 O 0.8371 0.6519 0.7943
40 O 0.8473 0.1184 0.9298
41 O 0.8654 0.7169 0.0798
42 O 0.9126 0.9636 0.2650
43 O 0.9191 0.9141 0.6768
44 O 0.9558 0.1818 0.9917

Calculated values
- Energy relative to the elements: -0.11 eV/atom
- V: 464.1 Å³/f.u.
- Raw total energy: -102.86 eV per formula unit

---

Record 7
An optimized crystal structure of YBr3O10, computed with PBE.

Cell lengths 6.8899, 8.4380, 10.2686 Å; angles 105.86, 107.20, 90.36 degrees
Positions (direct):
1 Y 0.1902 0.2566 0.2318
2 Y 0.8098 0.7434 0.7682
3 Br 0.1391 0.0519 0.7115
4 Br 0.2563 0.8314 0.0395
5 Br 0.2616 0.6135 0.5810
6 Br 0.7384 0.3865 0.4190
7 Br 0.7437 0.1686 0.9605
8 Br 0.8609 0.9481 0.2885
9 O 0.0074 0.1731 0.9937
10 O 0.0334 0.8439 0.6880
11 O 0.0365 0.5520 0.8448
12 O 0.0912 0.4228 0.7487
13 O 0.2416 0.3479 0.8109
14 O 0.2693 0.4284 0.4570
15 O 0.3262 0.9357 0.3858
16 O 0.3489 0.0316 0.1454
17 O 0.3894 0.7992 0.3489
18 O 0.4767 0.6433 0.7272
19 O 0.5233 0.3567 0.2728
20 O 0.6106 0.2008 0.6511
21 O 0.6511 0.9684 0.8546
22 O 0.6738 0.0643 0.6142
23 O 0.7307 0.5716 0.5430
24 O 0.7584 0.6521 0.1891
25 O 0.9088 0.5772 0.2513
26 O 0.9635 0.4480 0.1552
27 O 0.9666 0.1561 0.3120
28 O 0.9926 0.8269 0.0063

Calculated values
- Energy relative to the elements: -0.39 eV/atom
- V: 273.1 Å³/f.u.
- Raw total energy: -66.29 eV per formula unit

---

Record 8
An optimized crystal structure of Zr4Br4O, computed with PBE.

Cell lengths 19.7174, 19.7174, 19.7174 Å; angles 10.51, 10.51, 10.51 degrees
Positions (direct):
1 Zr 0.0000 0.0000 0.0000
2 Zr 0.2073 0.2073 0.2073
3 Zr 0.4984 0.4984 0.4984
4 Zr 0.7064 0.7064 0.7064
5 Br 0.3015 0.3015 0.3015
6 Br 0.4048 0.4048 0.4048
7 Br 0.7995 0.7995 0.7995
8 Br 0.9075 0.9075 0.9075
9 O 0.5350 0.5350 0.5350

Calculated values
- Energy relative to the elements: -1.52 eV/atom
- V: 221.6 Å³/f.u.
- Raw total energy: -58.70 eV per formula unit
- Corrected total energy (MP2020 scheme): -6.60 eV per atom

---

Record 9
An optimized crystal structure of OsBr4, computed with PBE.

Cell lengths 6.4332, 13.1440, 15.4643 Å; angles 90.00, 90.00, 90.00 degrees
Positions (direct):
1 Os 0.0966 0.1292 0.1845
2 Os 0.0966 0.3708 0.6845
3 Os 0.4034 0.6292 0.1845
4 Os 0.4034 0.8708 0.6845
5 Os 0.5966 0.1292 0.3155
6 Os 0.5966 0.3708 0.8155
7 Os 0.9034 0.6292 0.3155
8 Os 0.9034 0.8708 0.8155
9 Br 0.0490 0.7446 0.4221
10 Br 0.0490 0.7554 0.9221
11 Br 0.0746 0.7332 0.1937
12 Br 0.0746 0.7668 0.6937
13 Br 0.2312 0.5244 0.3063
14 Br 0.2312 0.9756 0.8063
15 Br 0.2412 0.0133 0.0779
16 Br 0.2412 0.4867 0.5779
17 Br 0.2588 0.5133 0.0779
18 Br 0.2588 0.9867 0.5779
19 Br 0.2688 0.0244 0.3063
20 Br 0.2688 0.4756 0.8063
21 Br 0.4254 0.2332 0.1937
22 Br 0.4254 0.2668 0.6937
23 Br 0.4510 0.2446 0.4221
24 Br 0.4510 0.2554 0.9221
25 Br 0.5490 0.7446 0.0779
26 Br 0.5490 0.7554 0.5779
27 Br 0.5746 0.7332 0.3063
28 Br 0.5746 0.7668 0.8063
29 Br 0.7312 0.5244 0.1937
30 Br 0.7312 0.9756 0.6937
31 Br 0.7412 0.0133 0.4221
32 Br 0.7412 0.4867 0.9221
33 Br 0.7588 0.5133 0.4221
34 Br 0.7588 0.9867 0.9221
35 Br 0.7688 0.0244 0.1937
36 Br 0.7688 0.4756 0.6937
37 Br 0.9254 0.2332 0.3063
38 Br 0.9254 0.2668 0.8063
39 Br 0.9510 0.2446 0.0779
40 Br 0.9510 0.2554 0.5779

Calculated values
- Energy relative to the elements: -0.54 eV/atom
- V: 163.5 Å³/f.u.
- Raw total energy: -18.32 eV per formula unit
- Corrected total energy (MP2020 scheme): -4.09 eV per atom

---

Record 10
An optimized crystal structure of Pr3OsBr3, computed with PBE.

Cell lengths 10.5553, 10.5553, 10.5553 Å; angles 109.47, 109.47, 109.47 degrees
Positions (direct):
1 Pr 0.0160 0.0321 0.2660
2 Pr 0.0160 0.4840 0.7500
3 Pr 0.0321 0.2660 0.0160
4 Pr 0.2340 0.2660 0.7500
5 Pr 0.2340 0.4679 0.4840
6 Pr 0.2660 0.0160 0.0321
7 Pr 0.2660 0.7500 0.2340
8 Pr 0.4679 0.4840 0.2340
9 Pr 0.4840 0.2340 0.4679
10 Pr 0.4840 0.7500 0.0160
11 Pr 0.7500 0.0160 0.4840
12 Pr 0.7500 0.2340 0.2660
13 Os 0.0000 0.2500 0.5000
14 Os 0.2500 0.2500 0.2500
15 Os 0.2500 0.5000 0.0000
16 Os 0.5000 0.0000 0.2500
17 Br 0.2500 0.7549 0.7451
18 Br 0.2500 0.9951 0.5049
19 Br 0.5049 0.2500 0.9951
20 Br 0.5049 0.7549 0.5098
21 Br 0.5098 0.5049 0.7549
22 Br 0.7451 0.2500 0.7549
23 Br 0.7451 0.9951 0.9902
24 Br 0.7549 0.5098 0.5049
25 Br 0.7549 0.7451 0.2500
26 Br 0.9902 0.7451 0.9951
27 Br 0.9951 0.5049 0.2500
28 Br 0.9951 0.9902 0.7451

Calculated values
- Energy relative to the elements: -1.42 eV/atom
- V: 226.3 Å³/f.u.
- Raw total energy: -38.81 eV per formula unit
- Corrected total energy (MP2020 scheme): -5.77 eV per atom

---

Record 11
An optimized crystal structure of PBr7, computed with PBE.

Cell lengths 9.3978, 8.3426, 15.1312 Å; angles 90.00, 90.00, 90.00 degrees
Positions (direct):
1 P 0.1190 0.2500 0.1461
2 P 0.3810 0.7500 0.6461
3 P 0.6190 0.2500 0.3539
4 P 0.8810 0.7500 0.8539
5 Br 0.0793 0.2500 0.2890
6 Br 0.0868 0.7500 0.9221
7 Br 0.0945 0.2500 0.5265
8 Br 0.1073 0.2500 0.7987
9 Br 0.1666 0.7500 0.3758
10 Br 0.2375 0.0342 0.1068
11 Br 0.2375 0.4658 0.1068
12 Br 0.2625 0.5342 0.6068
13 Br 0.2625 0.9658 0.6068
14 Br 0.3334 0.2500 0.8758
15 Br 0.3927 0.7500 0.2987
16 Br 0.4055 0.7500 0.0265
17 Br 0.4132 0.2500 0.4221
18 Br 0.4207 0.7500 0.7890
19 Br 0.5793 0.2500 0.2110
20 Br 0.5868 0.7500 0.5779
21 Br 0.5945 0.2500 0.9735
22 Br 0.6073 0.2500 0.7013
23 Br 0.6666 0.7500 0.1242
24 Br 0.7375 0.0342 0.3932
25 Br 0.7375 0.4658 0.3932
26 Br 0.7625 0.5342 0.8932
27 Br 0.7625 0.9658 0.8932
28 Br 0.8334 0.2500 0.6242
29 Br 0.8927 0.7500 0.2013
30 Br 0.9055 0.7500 0.4735
31 Br 0.9132 0.2500 0.0779
32 Br 0.9207 0.7500 0.7110

Calculated values
- Energy relative to the elements: -0.72 eV/atom
- V: 296.6 Å³/f.u.
- Raw total energy: -18.90 eV per formula unit
- Corrected total energy (MP2020 scheme): -2.83 eV per atom

---

Record 12
An optimized crystal structure of PBr3, computed with PBE.

Cell lengths 9.3553, 10.9708, 6.9610 Å; angles 90.00, 90.00, 90.00 degrees
Positions (direct):
1 P 0.0494 0.2500 0.0284
2 P 0.4506 0.7500 0.5284
3 P 0.5494 0.2500 0.4716
4 P 0.9506 0.7500 0.9716
5 Br 0.1046 0.2500 0.7136
6 Br 0.1787 0.0916 0.1385
7 Br 0.1787 0.4084 0.1385
8 Br 0.3213 0.5916 0.6385
9 Br 0.3213 0.9084 0.6385
10 Br 0.3954 0.7500 0.2136
11 Br 0.6046 0.2500 0.7864
12 Br 0.6787 0.0916 0.3615
13 Br 0.6787 0.4084 0.3615
14 Br 0.8213 0.5916 0.8615
15 Br 0.8213 0.9084 0.8615
16 Br 0.8954 0.7500 0.2864

Calculated values
- Energy relative to the elements: -0.79 eV/atom
- V: 178.6 Å³/f.u.
- Raw total energy: -11.87 eV per formula unit
- Corrected total energy (MP2020 scheme): -3.37 eV per atom

---

Please write out number 4 again, unchanged.
An optimized crystal structure of UBr4O9, computed with PBE.

Cell lengths 6.4423, 7.2375, 13.9538 Å; angles 83.04, 89.29, 69.41 degrees
Positions (direct):
1 U 0.1644 0.2910 0.3062
2 U 0.8356 0.7090 0.6938
3 Br 0.1481 0.7994 0.9680
4 Br 0.2743 0.8227 0.4761
5 Br 0.2804 0.1689 0.6919
6 Br 0.4310 0.5443 0.7703
7 Br 0.5690 0.4557 0.2297
8 Br 0.7196 0.8311 0.3081
9 Br 0.7257 0.1773 0.5239
10 Br 0.8519 0.2006 0.0320
11 O 0.0379 0.4056 0.6623
12 O 0.0849 0.3667 0.1780
13 O 0.1157 0.9878 0.3787
14 O 0.1514 0.8948 0.0754
15 O 0.2083 0.7001 0.6894
16 O 0.2915 0.2288 0.9381
17 O 0.3057 0.2642 0.4224
18 O 0.3594 0.2466 0.0173
19 O 0.4570 0.0430 0.2694
20 O 0.5430 0.9570 0.7306
21 O 0.6406 0.7534 0.9827
22 O 0.6943 0.7358 0.5776
23 O 0.7085 0.7712 0.0619
24 O 0.7917 0.2999 0.3106
25 O 0.8486 0.1052 0.9246
26 O 0.8843 0.0122 0.6213
27 O 0.9151 0.6333 0.8220
28 O 0.9621 0.5944 0.3377

Calculated values
- Energy relative to the elements: -0.68 eV/atom
- V: 302.1 Å³/f.u.
- Raw total energy: -70.40 eV per formula unit
- Corrected total energy (MP2020 scheme): -5.13 eV per atom

---

Copy entry 8 word for word.
An optimized crystal structure of Zr4Br4O, computed with PBE.

Cell lengths 19.7174, 19.7174, 19.7174 Å; angles 10.51, 10.51, 10.51 degrees
Positions (direct):
1 Zr 0.0000 0.0000 0.0000
2 Zr 0.2073 0.2073 0.2073
3 Zr 0.4984 0.4984 0.4984
4 Zr 0.7064 0.7064 0.7064
5 Br 0.3015 0.3015 0.3015
6 Br 0.4048 0.4048 0.4048
7 Br 0.7995 0.7995 0.7995
8 Br 0.9075 0.9075 0.9075
9 O 0.5350 0.5350 0.5350

Calculated values
- Energy relative to the elements: -1.52 eV/atom
- V: 221.6 Å³/f.u.
- Raw total energy: -58.70 eV per formula unit
- Corrected total energy (MP2020 scheme): -6.60 eV per atom